No. 1
A plane-wave DFT calculation with GGA+U was carried out for crystalline Li3V3B2O10 at its relaxed geometry.

Summary:
As for the energy above the most stable polymorph in this dataset: 0.003 eV per atom. The calculation puts the energy of formation from the pure elements at -2574.9 meV per atom. As for the total magnetic moment: 0.222 μB/atom. The value obtained for the corrected total energy (MP2020 scheme) is -7.898 eV per atom.

Structure (CIF):
```
data_Li3V3B2O10
_chemical_formula_sum 'Li6 V6 B4 O20'
_symmetry_space_group_name_H-M 'P -1'
_symmetry_Int_Tables_number 2
_cell_length_a 2.997
_cell_length_b 9.408
_cell_length_c 12.107
_cell_angle_alpha 89.01
_cell_angle_beta 89.83
_cell_angle_gamma 88.85
loop_
_symmetry_equiv_pos_as_xyz
'x,y,z'
'-x,-y,-z'
loop_
_atom_site_label
_atom_site_fract_x
_atom_site_fract_y
_atom_site_fract_z
Li1 0.000 0.000 0.000
Li2 0.000 0.500 0.500
Li3 0.001 0.490 0.209
Li4 0.500 0.000 0.500
Li5 0.500 0.500 0.000
V1 0.002 0.997 0.718
V2 0.476 0.247 0.889
V3 0.481 0.266 0.390
B1 0.496 0.731 0.358
B2 0.496 0.765 0.868
O1 0.007 0.888 0.152
O2 0.010 0.363 0.924
O3 0.012 0.877 0.579
O4 0.016 0.380 0.356
O5 0.485 0.660 0.459
O6 0.493 0.624 0.861
O7 0.494 0.660 0.262
O8 0.497 0.150 0.237
O9 0.499 0.847 0.961
O10 0.499 0.883 0.356
```

No. 2
A plane-wave DFT calculation with GGA+U was carried out for crystalline Li4Co3O7 at its relaxed geometry.

Summary:
As for the energy above the most stable polymorph in this dataset: 0.078 eV per atom. The calculation puts the energy of formation from the pure elements at -1632.4 meV per atom. As for the total magnetic moment: 0.786 μB/atom. The value obtained for the corrected total energy (MP2020 scheme) is -6.175 eV per atom.

Structure (CIF):
```
data_Li4Co3O7
_chemical_formula_sum 'Li8 Co6 O14'
_symmetry_space_group_name_H-M 'P -1'
_symmetry_Int_Tables_number 2
_cell_length_a 5.865
_cell_length_b 6.565
_cell_length_c 7.673
_cell_angle_alpha 114.88
_cell_angle_beta 99.97
_cell_angle_gamma 103.98
loop_
_symmetry_equiv_pos_as_xyz
'x,y,z'
'-x,-y,-z'
loop_
_atom_site_label
_atom_site_fract_x
_atom_site_fract_y
_atom_site_fract_z
Li1 0.000 0.000 0.000
Li2 0.071 0.582 0.720
Li3 0.208 0.715 0.133
Li4 0.356 0.859 0.568
Li5 0.500 0.000 0.000
Co1 0.138 0.143 0.427
Co2 0.280 0.284 0.865
Co3 0.426 0.419 0.282
O1 0.028 0.811 0.371
O2 0.125 0.364 0.068
O3 0.154 0.930 0.765
O4 0.249 0.475 0.495
O5 0.316 0.092 0.240
O6 0.403 0.648 0.932
O7 0.438 0.227 0.637
```

- The lowest total magnetic moment belongs to which entry?
  Li3V3B2O10

- Among the records above, which one has the highest corrected total energy (MP2020 scheme)?
  Li4Co3O7